A relaxed CsB3O5 crystal. Source: the Materials Project database, functional r²SCAN.

Calculated values
Magnetization ... 0.0 μB/cell
Energy of formation ... -2.5981 eV per atom

Geometry as CIF:
```
data_CsB3O5
_symmetry_space_group_name_H-M 'P 1'
_symmetry_Int_Tables_number 1
_cell_length_a 5.9440
_cell_length_b 8.4584
_cell_length_c 9.7518
_cell_angle_alpha 90.00
_cell_angle_beta 90.00
_cell_angle_gamma 90.00
loop_
_symmetry_equiv_pos_as_xyz
'x,y,z'
loop_
_atom_site_label
_atom_site_type_symbol
_atom_site_fract_x
_atom_site_fract_y
_atom_site_fract_z
O1 O 0.1277 0.5179 0.8963
O2 O 0.7470 0.2828 0.5618
O3 O 0.0483 0.2301 0.7234
O4 O 0.8286 0.4691 0.7380
O5 O 0.2530 0.7828 0.9382
O6 O 0.2470 0.2172 0.4382
O7 O 0.0901 0.4399 0.5572
O8 O 0.3286 0.0309 0.2620
O9 O 0.8723 0.0179 0.6037
O10 O 0.5483 0.2699 0.2766
O11 O 0.1714 0.9691 0.7620
O12 O 0.6714 0.5309 0.2380
O13 O 0.3723 0.4821 0.3963
O14 O 0.4099 0.5601 0.0572
O15 O 0.6277 0.9821 0.1037
O16 O 0.7530 0.7172 0.0618
O17 O 0.9517 0.7301 0.7766
O18 O 0.9099 0.9399 0.9428
O19 O 0.4517 0.7699 0.2234
O20 O 0.5901 0.0601 0.4428
Cs1 Cs 0.9983 0.2686 0.1318
Cs2 Cs 0.5017 0.7314 0.6318
Cs3 Cs 0.4983 0.2314 0.8682
Cs4 Cs 0.0017 0.7686 0.3682
B1 B 0.5328 0.4265 0.3038
B2 B 0.7643 0.8741 0.0332
B3 B 0.2643 0.6259 0.9668
B4 B 0.4672 0.9265 0.1962
B5 B 0.9672 0.5735 0.8038
B6 B 0.9286 0.3529 0.6444
B7 B 0.7357 0.1259 0.5332
B8 B 0.0714 0.8529 0.8556
B9 B 0.5714 0.6471 0.1444
B10 B 0.4286 0.1471 0.3556
B11 B 0.2357 0.3741 0.4668
B12 B 0.0328 0.0735 0.6962
```